Entry 1:
DFT (PBE+U) results for a geometry-optimized MnAgP3O9 structure.

Output
volume	14.44	Å³ per atom
total moment	80.0	μB per cell
space-group type	No. 19
ρ	3283	kg/m3
E	-7.014	eV per atom
energy of formation from the pure elements	-229	kJ per mole of atoms
MP2020-corrected energy	-7.575	eV/atom

Cell lengths 14.7719, 14.7863, 14.8114 Å; angles 90.00, 90.00, 90.00 degrees
Sites, in units of the cell vectors:
Mn1 0.1149 0.1274 0.1331
Mn2 0.1235 0.3749 0.6259
Mn3 0.1266 0.6246 0.8778
Mn4 0.1342 0.8765 0.3843
Mn5 0.3658 0.1235 0.8843
Mn6 0.3734 0.3754 0.3778
Mn7 0.3765 0.6251 0.1259
Mn8 0.3851 0.8726 0.6331
Mn9 0.6149 0.3726 0.8669
Mn10 0.6235 0.1251 0.3741
Mn11 0.6266 0.8754 0.1222
Mn12 0.6342 0.6235 0.6157
Mn13 0.8658 0.3765 0.1157
Mn14 0.8734 0.1246 0.6222
Mn15 0.8765 0.8749 0.8741
Mn16 0.8851 0.6274 0.3669
Ag1 0.0058 0.4969 0.0019
Ag2 0.0089 0.9932 0.9991
Ag3 0.2442 0.7480 0.7423
Ag4 0.2445 0.7509 0.2456
Ag5 0.2555 0.2491 0.7456
Ag6 0.2558 0.2520 0.2423
Ag7 0.4911 0.0068 0.4991
Ag8 0.4942 0.5031 0.5019
Ag9 0.5058 0.0031 0.9981
Ag10 0.5089 0.5068 0.0009
Ag11 0.7442 0.7520 0.2577
Ag12 0.7445 0.7491 0.7544
Ag13 0.7555 0.2509 0.2544
Ag14 0.7558 0.2480 0.7577
Ag15 0.9911 0.4932 0.5009
Ag16 0.9942 0.9969 0.4981
P1 0.0038 0.2777 0.2752
P2 0.0066 0.2225 0.7763
P3 0.0243 0.4761 0.2560
P4 0.0247 0.0237 0.7626
P5 0.0248 0.2333 0.4724
P6 0.0247 0.2630 0.9753
P7 0.2234 0.2781 0.9966
P8 0.2241 0.2245 0.4844
P9 0.2237 0.5150 0.2734
P10 0.2245 0.0085 0.7274
P11 0.2343 0.5244 0.4723
P12 0.2466 0.0275 0.5301
P13 0.2534 0.9725 0.0301
P14 0.2657 0.4756 0.9723
P15 0.2755 0.9915 0.2274
P16 0.2763 0.4850 0.7734
P17 0.2759 0.7755 0.9844
P18 0.2766 0.7219 0.4966
P19 0.4753 0.7370 0.4753
P20 0.4752 0.7667 0.9724
P21 0.4753 0.9763 0.2626
P22 0.4757 0.5239 0.7560
P23 0.4934 0.7775 0.2763
P24 0.4962 0.7223 0.7752
P25 0.5038 0.2223 0.7248
P26 0.5066 0.2775 0.2237
P27 0.5243 0.0239 0.7440
P28 0.5247 0.2370 0.0247
P29 0.5248 0.2667 0.5276
P30 0.5247 0.4763 0.2374
P31 0.7234 0.2219 0.0034
P32 0.7241 0.2755 0.5156
P33 0.7237 0.9850 0.7266
P34 0.7245 0.4915 0.2726
P35 0.7343 0.9756 0.5277
P36 0.7466 0.4725 0.4699
P37 0.7534 0.5275 0.9699
P38 0.7657 0.0244 0.0277
P39 0.7755 0.5085 0.7726
P40 0.7763 0.0150 0.2266
P41 0.7759 0.7245 0.0156
P42 0.7766 0.7781 0.5034
P43 0.9753 0.5237 0.7374
P44 0.9752 0.7333 0.0276
P45 0.9753 0.7630 0.5247
P46 0.9757 0.9761 0.2440
P47 0.9934 0.7225 0.7237
P48 0.9962 0.7777 0.2248
O1 0.0087 0.0357 0.1689
O2 0.0195 0.7560 0.6236
O3 0.0207 0.5278 0.8280
O4 0.0215 0.7394 0.1260
O5 0.0224 0.4748 0.6617
O6 0.0252 0.6589 0.9795
O7 0.0251 0.8387 0.4781
O8 0.0286 0.1722 0.0202
O9 0.0290 0.9693 0.3300
O10 0.0307 0.3244 0.5167
O11 0.0406 0.3775 0.3005
O12 0.0513 0.1245 0.7964
O13 0.0789 0.2803 0.7347
O14 0.0816 0.2257 0.2358
O15 0.0829 0.7129 0.7712
O16 0.0839 0.7832 0.2760
O17 0.1236 0.9785 0.7557
O18 0.1249 0.1967 0.4470
O19 0.1253 0.5054 0.2273
O20 0.1258 0.2980 0.9507
O21 0.1608 0.4735 0.5200
O22 0.1648 0.0220 0.0385
O23 0.1720 0.9849 0.4761
O24 0.1734 0.5184 0.9658
O25 0.1987 0.5536 0.3729
O26 0.2067 0.0529 0.6287
O27 0.2126 0.2301 0.0855
O28 0.2170 0.2686 0.5755
O29 0.2176 0.7634 0.4254
O30 0.2226 0.0778 0.2209
O31 0.2265 0.7270 0.9100
O32 0.2283 0.8734 0.9922
O33 0.2291 0.4107 0.7222
O34 0.2318 0.5758 0.7805
O35 0.2410 0.9162 0.2866
O36 0.2426 0.6214 0.5212
O37 0.2574 0.3786 0.0212
O38 0.2590 0.0838 0.7866
O39 0.2682 0.4242 0.2805
O40 0.2709 0.5893 0.2222
O41 0.2717 0.1266 0.4922
O42 0.2735 0.2730 0.4100
O43 0.2774 0.9222 0.7209
O44 0.2824 0.2366 0.9254
O45 0.2830 0.7314 0.0755
O46 0.2874 0.7699 0.5855
O47 0.2933 0.9471 0.1287
O48 0.3013 0.4464 0.8729
O49 0.3266 0.4816 0.4658
O50 0.3280 0.0151 0.9761
O51 0.3352 0.9780 0.5385
O52 0.3392 0.5265 0.0200
O53 0.3742 0.7020 0.4507
O54 0.3747 0.4946 0.7273
O55 0.3751 0.8033 0.9470
O56 0.3764 0.0215 0.2557
O57 0.4161 0.2168 0.7760
O58 0.4171 0.2871 0.2712
O59 0.4184 0.7743 0.7358
O60 0.4211 0.7197 0.2347
O61 0.4487 0.8755 0.2964
O62 0.4594 0.6225 0.8005
O63 0.4693 0.6756 0.0167
O64 0.4710 0.0307 0.8300
O65 0.4714 0.8278 0.5202
O66 0.4749 0.1613 0.9781
O67 0.4748 0.3411 0.4795
O68 0.4776 0.5252 0.1617
O69 0.4785 0.2606 0.6260
O70 0.4793 0.4722 0.3280
O71 0.4805 0.2440 0.1236
O72 0.4913 0.9643 0.6689
O73 0.5087 0.4643 0.8311
O74 0.5195 0.7440 0.3764
O75 0.5215 0.7606 0.8740
O76 0.5207 0.9722 0.1720
O77 0.5224 0.0252 0.3383
O78 0.5251 0.6613 0.5219
O79 0.5252 0.8411 0.0205
O80 0.5286 0.3278 0.9798
O81 0.5290 0.5307 0.6700
O82 0.5307 0.1756 0.4833
O83 0.5406 0.1225 0.6995
O84 0.5513 0.3755 0.2036
O85 0.5789 0.2197 0.2653
O86 0.5816 0.2743 0.7642
O87 0.5829 0.7871 0.2288
O88 0.5839 0.7168 0.7240
O89 0.6236 0.5215 0.2443
O90 0.6249 0.3033 0.5530
O91 0.6253 0.9946 0.7727
O92 0.6258 0.2020 0.0493
O93 0.6608 0.0265 0.4800
O94 0.6648 0.4780 0.9615
O95 0.6720 0.5151 0.5239
O96 0.6734 0.9816 0.0342
O97 0.6987 0.9464 0.6271
O98 0.7067 0.4471 0.3713
O99 0.7126 0.2699 0.9145
O100 0.7170 0.2314 0.4245
O101 0.7176 0.7366 0.5746
O102 0.7226 0.4222 0.7791
O103 0.7265 0.7730 0.0900
O104 0.7283 0.6266 0.0078
O105 0.7291 0.0893 0.2778
O106 0.7318 0.9242 0.2195
O107 0.7410 0.5838 0.7134
O108 0.7426 0.8786 0.4788
O109 0.7574 0.1214 0.9788
O110 0.7590 0.4162 0.2134
O111 0.7682 0.0758 0.7195
O112 0.7709 0.9107 0.7778
O113 0.7717 0.3734 0.5078
O114 0.7735 0.2270 0.5900
O115 0.7774 0.5778 0.2791
O116 0.7824 0.2634 0.0746
O117 0.7830 0.7686 0.9245
O118 0.7874 0.7301 0.4145
O119 0.7933 0.5529 0.8713
O120 0.8013 0.0536 0.1271
O121 0.8266 0.0184 0.5342
O122 0.8280 0.4849 0.0239
O123 0.8352 0.5220 0.4615
O124 0.8392 0.9735 0.9800
O125 0.8742 0.7980 0.5493
O126 0.8747 0.0054 0.2727
O127 0.8751 0.6967 0.0530
O128 0.8764 0.4785 0.7443
O129 0.9161 0.2832 0.2240
O130 0.9171 0.2129 0.7288
O131 0.9184 0.7257 0.2642
O132 0.9211 0.7803 0.7653
O133 0.9487 0.6245 0.7036
O134 0.9594 0.8775 0.1995
O135 0.9693 0.8244 0.9833
O136 0.9710 0.4693 0.1700
O137 0.9714 0.6722 0.4798
O138 0.9748 0.1589 0.5205
O139 0.9749 0.3387 0.0219
O140 0.9776 0.9748 0.8383
O141 0.9793 0.0278 0.6720
O142 0.9785 0.2394 0.3740
O143 0.9805 0.2560 0.8764
O144 0.9913 0.5357 0.3311

---

Entry 2:
DFT (PBE+U) results for a geometry-optimized MnAgPO4 structure.

Output
volume	12.91	Å³ per atom
total moment	0.0	μB per cell
space-group type	No. 2
ρ	4735	kg/m3
E	-6.804	eV per atom
energy of formation from the pure elements	-205	kJ per mole of atoms
MP2020-corrected energy	-7.435	eV/atom

Cell lengths 5.8714, 6.6984, 9.8296 Å; angles 74.79, 79.75, 77.83 degrees
Sites, in units of the cell vectors:
Mn1 0.1580 0.0669 0.2113
Mn2 0.2779 0.1698 0.5706
Mn3 0.7221 0.8302 0.4294
Mn4 0.8420 0.9331 0.7887
Ag1 0.1950 0.3788 0.8754
Ag2 0.3282 0.5236 0.2406
Ag3 0.6718 0.4764 0.7594
Ag4 0.8050 0.6212 0.1246
P1 0.1874 0.7117 0.5339
P2 0.3122 0.8525 0.9099
P3 0.6878 0.1475 0.0901
P4 0.8126 0.2883 0.4661
O1 0.0632 0.2146 0.3899
O2 0.1298 0.7211 0.8941
O3 0.1515 0.7643 0.3720
O4 0.2653 0.0701 0.8015
O5 0.2690 0.4765 0.5919
O6 0.2789 0.8781 0.0634
O7 0.3672 0.8411 0.5518
O8 0.4299 0.2581 0.1286
O9 0.5701 0.7419 0.8714
O10 0.6328 0.1589 0.4482
O11 0.7211 0.1219 0.9366
O12 0.7310 0.5235 0.4081
O13 0.7347 0.9299 0.1985
O14 0.8485 0.2357 0.6280
O15 0.8702 0.2789 0.1059
O16 0.9368 0.7854 0.6101

---

Entry 3:
DFT (PBE+U) results for a geometry-optimized Mn6AgP7O24 structure.

Output
volume	12.32	Å³ per atom
total moment	60.0	μB per cell
space-group type	No. 11
ρ	3681	kg/m3
E	-7.450	eV per atom
energy of formation from the pure elements	-242	kJ per mole of atoms
MP2020-corrected energy	-8.147	eV/atom

Cell lengths 5.4381, 27.1260, 6.6564 Å; angles 90.00, 107.45, 90.00 degrees
Sites, in units of the cell vectors:
Mn1 0.1276 0.1829 0.2793
Mn2 0.1276 0.3171 0.2793
Mn3 0.1884 0.0452 0.6857
Mn4 0.1884 0.4548 0.6857
Mn5 0.2063 0.5977 0.0864
Mn6 0.2063 0.9023 0.0864
Mn7 0.7937 0.0977 0.9136
Mn8 0.7937 0.4023 0.9136
Mn9 0.8116 0.5452 0.3143
Mn10 0.8116 0.9548 0.3143
Mn11 0.8724 0.6829 0.7207
Mn12 0.8724 0.8171 0.7207
Ag1 0.2264 0.7500 0.4131
Ag2 0.7736 0.2500 0.5869
P1 0.2506 0.1678 0.8090
P2 0.2506 0.3322 0.8090
P3 0.2936 0.0245 0.2049
P4 0.2936 0.4755 0.2049
P5 0.3154 0.6090 0.6180
P6 0.3154 0.8910 0.6180
P7 0.4522 0.7500 0.9129
P8 0.5478 0.2500 0.0871
P9 0.6846 0.1090 0.3820
P10 0.6846 0.3910 0.3820
P11 0.7064 0.5245 0.7951
P12 0.7064 0.9755 0.7951
P13 0.7494 0.6678 0.1910
P14 0.7494 0.8322 0.1910
O1 0.0710 0.1648 0.9479
O2 0.0710 0.3352 0.9479
O3 0.1231 0.1937 0.5998
O4 0.1231 0.3063 0.5998
O5 0.1309 0.0477 0.9970
O6 0.1309 0.4523 0.9970
O7 0.1414 0.5949 0.3972
O8 0.1414 0.9051 0.3972
O9 0.1483 0.0226 0.3697
O10 0.1483 0.4774 0.3697
O11 0.1545 0.6227 0.7660
O12 0.1545 0.8773 0.7660
O13 0.1640 0.7500 0.7987
O14 0.3701 0.2500 0.2267
O15 0.3913 0.1200 0.7927
O16 0.3913 0.3800 0.7927
O17 0.4098 0.5258 0.1748
O18 0.4098 0.9742 0.1748
O19 0.4495 0.5575 0.7127
O20 0.4495 0.9425 0.7127
O21 0.4856 0.1474 0.3860
O22 0.4856 0.3526 0.3860
O23 0.4955 0.2038 0.9343
O24 0.4955 0.2962 0.9343
O25 0.5045 0.7038 0.0657
O26 0.5045 0.7962 0.0657
O27 0.5144 0.6474 0.6140
O28 0.5144 0.8526 0.6140
O29 0.5505 0.0575 0.2873
O30 0.5505 0.4425 0.2873
O31 0.5902 0.0258 0.8252
O32 0.5902 0.4742 0.8252
O33 0.6087 0.6200 0.2073
O34 0.6087 0.8800 0.2073
O35 0.6299 0.7500 0.7733
O36 0.8360 0.2500 0.2013
O37 0.8455 0.1227 0.2340
O38 0.8455 0.3773 0.2340
O39 0.8517 0.5226 0.6303
O40 0.8517 0.9774 0.6303
O41 0.8586 0.0949 0.6028
O42 0.8586 0.4051 0.6028
O43 0.8691 0.5477 0.0030
O44 0.8691 0.9523 0.0030
O45 0.8769 0.6937 0.4002
O46 0.8769 0.8063 0.4002
O47 0.9290 0.6648 0.0521
O48 0.9290 0.8352 0.0521

---

Entry 4:
DFT (PBE+U) results for a geometry-optimized MnAg4P6O24 structure.

Output
volume	13.92	Å³ per atom
total moment	11.0	μB per cell
space-group type	No. 2
ρ	3600	kg/m3
E	-5.985	eV per atom
energy of formation from the pure elements	-154	kJ per mole of atoms
MP2020-corrected energy	-6.504	eV/atom

Cell lengths 6.6358, 8.2435, 9.3715 Å; angles 101.93, 103.24, 90.90 degrees
Sites, in units of the cell vectors:
Mn1 0.0000 0.0000 0.0000
Ag1 0.1992 0.4522 0.1652
Ag2 0.3806 0.7150 0.5855
Ag3 0.6194 0.2850 0.4145
Ag4 0.8008 0.5478 0.8348
P1 0.1453 0.2779 0.4814
P2 0.2733 0.4554 0.7939
P3 0.4688 0.1604 0.6907
P4 0.5312 0.8396 0.3093
P5 0.7267 0.5446 0.2061
P6 0.8547 0.7221 0.5186
O1 0.0092 0.9013 0.1652
O2 0.0657 0.7792 0.6167
O3 0.1093 0.4001 0.6323
O4 0.1480 0.5056 0.9087
O5 0.1835 0.1915 0.0650
O6 0.2194 0.8608 0.0169
O7 0.2639 0.1318 0.5473
O8 0.2926 0.3665 0.4131
O9 0.3628 0.7382 0.3468
O10 0.3812 0.2869 0.8185
O11 0.4352 0.5804 0.7797
O12 0.4960 0.0025 0.2683
O13 0.5040 0.9975 0.7317
O14 0.5648 0.4196 0.2203
O15 0.6188 0.7131 0.1815
O16 0.6372 0.2618 0.6532
O17 0.7074 0.6335 0.5869
O18 0.7361 0.8682 0.4527
O19 0.7806 0.1392 0.9831
O20 0.8165 0.8085 0.9350
O21 0.8520 0.4944 0.0913
O22 0.8907 0.5999 0.3677
O23 0.9343 0.2208 0.3833
O24 0.9908 0.0987 0.8348

---

Entry 5:
DFT (PBE+U) results for a geometry-optimized Mn3Ag2P4O14 structure.

Output
volume	12.40	Å³ per atom
total moment	30.0	μB per cell
space-group type	No. 2
ρ	4240	kg/m3
E	-7.073	eV per atom
energy of formation from the pure elements	-223	kJ per mole of atoms
MP2020-corrected energy	-7.709	eV/atom

Cell lengths 5.4616, 6.6743, 16.6938 Å; angles 80.78, 81.92, 72.63 degrees
Sites, in units of the cell vectors:
Mn1 0.0276 0.1238 0.3038
Mn2 0.1720 0.7883 0.0772
Mn3 0.2517 0.4685 0.8385
Mn4 0.7483 0.5315 0.1615
Mn5 0.8280 0.2117 0.9228
Mn6 0.9724 0.8762 0.6962
Ag1 0.1067 0.7574 0.4786
Ag2 0.4078 0.2286 0.6285
Ag3 0.5922 0.7714 0.3715
Ag4 0.8933 0.2426 0.5214
P1 0.1752 0.5917 0.2800
P2 0.2840 0.2814 0.0398
P3 0.3702 0.9404 0.8226
P4 0.4241 0.2595 0.4145
P5 0.5759 0.7405 0.5855
P6 0.6298 0.0596 0.1774
P7 0.7160 0.7186 0.9602
P8 0.8248 0.4083 0.7200
O1 0.0161 0.5330 0.7265
O2 0.0410 0.7861 0.3256
O3 0.1119 0.4754 0.0792
O4 0.1430 0.1154 0.0389
O5 0.1860 0.1539 0.8436
O6 0.2212 0.8012 0.7967
O7 0.2705 0.1096 0.4013
O8 0.2834 0.8430 0.5901
O9 0.3089 0.3705 0.4907
O10 0.3327 0.6387 0.1996
O11 0.3975 0.4447 0.3364
O12 0.4034 0.0324 0.2371
O13 0.4187 0.3410 0.9558
O14 0.4682 0.8167 0.9087
O15 0.5318 0.1833 0.0913
O16 0.5813 0.6590 0.0442
O17 0.5966 0.9676 0.7629
O18 0.6025 0.5553 0.6636
O19 0.6673 0.3613 0.8004
O20 0.6911 0.6295 0.5093
O21 0.7166 0.1570 0.4099
O22 0.7295 0.8904 0.5987
O23 0.7788 0.1988 0.2033
O24 0.8140 0.8461 0.1564
O25 0.8570 0.8846 0.9611
O26 0.8881 0.5246 0.9208
O27 0.9590 0.2139 0.6744
O28 0.9839 0.4670 0.2735